# 1
An optimized crystal structure of CdC4S2N4O4, computed with PBE-GGA.

Summary:
Crystal system: orthorhombic
Formation enthalpy at 0 K: -0.213 eV/atom

abc: 3.948 8.750 18.478
angles: 90.00 90.00 90.00
Positions (direct):
1 N 0.409 0.444 0.695
2 N 0.591 0.056 0.195
3 N 0.409 0.556 0.305
4 N 0.788 0.212 0.199
5 N 0.212 0.288 0.699
6 N 0.591 0.944 0.805
7 N 0.788 0.788 0.801
8 N 0.212 0.712 0.301
9 C 0.348 0.651 0.359
10 C 0.112 0.326 0.870
11 C 0.888 0.174 0.370
12 C 0.348 0.349 0.641
13 C 0.888 0.826 0.630
14 C 0.652 0.151 0.141
15 C 0.652 0.849 0.859
16 C 0.112 0.674 0.130
17 O 0.182 0.204 0.894
18 O 0.957 0.053 0.348
19 O 0.043 0.553 0.152
20 O 0.818 0.704 0.606
21 O 0.957 0.947 0.652
22 O 0.818 0.296 0.394
23 O 0.182 0.796 0.106
24 O 0.043 0.447 0.848
25 S 0.394 0.682 0.450
26 S 0.394 0.318 0.550
27 S 0.606 0.182 0.050
28 S 0.606 0.818 0.950
29 Cd 0.117 0.000 0.000
30 Cd 0.883 0.500 0.500


# 2
An optimized crystal structure of Cd2OsC6N6, computed with PBE-GGA.

Summary:
Crystal system: trigonal
Formation enthalpy at 0 K: 0.036 eV/atom

abc: 6.454 6.454 6.636
angles: 90.00 90.00 120.00
Positions (direct):
1 C 0.248 0.248 0.816
2 C 0.000 0.752 0.816
3 C 0.000 0.248 0.184
4 C 0.752 0.000 0.816
5 C 0.248 0.000 0.184
6 C 0.752 0.752 0.184
7 N 0.000 0.385 0.303
8 N 0.385 0.385 0.697
9 N 0.000 0.615 0.697
10 N 0.385 0.000 0.303
11 N 0.615 0.000 0.697
12 N 0.615 0.615 0.303
13 Os 0.000 0.000 0.000
14 Cd 0.333 0.667 0.500
15 Cd 0.667 0.333 0.500